SeO2 after structural relaxation. Source: the Materials Project database, functional PBE-GGA.

As for the total magnetic moment: 0.0 μB/f.u. As for the theoretical density: 3.72 g cm⁻³. The formation energy is -1153 meV per atom. As for the space group: Pbam. Its crystal system is orthorhombic.

a b c (Å): 5.2078 8.6763 8.7726
angles (deg): 90.00 90.00 90.00
Closest atoms and distances in Å follow each position.
Sites, in units of the cell vectors:
Se 0.0000 0.7812 0.8644  1 O 1.64
Se 0.0000 0.7188 0.3644  1 O 1.64
Se 0.5000 0.8773 0.2133  3 O 1.65-1.84
Se 0.5000 0.6227 0.7133  3 O 1.65-1.84
Se 0.5000 0.1227 0.7867  3 O 1.65-1.84
Se 0.0000 0.2812 0.6356  1 O 1.64
Se 0.0000 0.2188 0.1356  1 O 1.64
Se 0.5000 0.3773 0.2867  3 O 1.65-1.84
O 0.5000 0.0651 0.1829  1 Se 1.65
O 0.0000 0.6791 0.5477  1 Se 1.64
O 0.2498 0.8699 0.3605  2 Se 1.84-1.85
O 0.7502 0.8699 0.3605  2 Se 1.84-1.85
O 0.5000 0.4349 0.6829  1 Se 1.65
O 0.7502 0.3699 0.1395  2 Se 1.84-1.85
O 0.2498 0.3699 0.1395  2 Se 1.84-1.85
O 0.0000 0.3209 0.4523  1 Se 1.64
O 0.5000 0.5651 0.3171  1 Se 1.65
O 0.5000 0.9349 0.8171  1 Se 1.65
O 0.7502 0.1301 0.6395  2 Se 1.84-1.85
O 0.2498 0.6301 0.8605  2 Se 1.84-1.85
O 0.0000 0.1791 0.9523  1 Se 1.64
O 0.2498 0.1301 0.6395  2 Se 1.84-1.85
O 0.7502 0.6301 0.8605  2 Se 1.84-1.85
O 0.0000 0.8209 0.0477  1 Se 1.64